Entry 1:
Computed, not measured: a relaxed InSnCl3 crystal at the PBE level of DFT.

```
data_InSnCl3
_space_group_name_H-M_alt 'P 1'
_space_group_IT_number 1
_cell_length_a 11.979
_cell_length_b 11.574
_cell_length_c 11.432
_cell_angle_alpha 62.75
_cell_angle_beta 59.20
_cell_angle_gamma 58.05
loop_
_space_group_symop_operation_xyz
'x,y,z'
loop_
_atom_site_label
_atom_site_fract_x
_atom_site_fract_y
_atom_site_fract_z
Sn1 0.330 0.992 0.670
Sn2 0.146 0.842 0.158
Sn3 0.650 0.650 0.350
Sn4 0.842 0.146 0.854
Sn5 0.250 0.250 0.250
Sn6 0.750 0.750 0.750
Sn7 0.369 0.369 0.631
Sn8 0.992 0.330 0.008
In1 0.523 0.477 0.147
In2 0.477 0.523 0.854
In3 0.651 0.018 0.349
In4 0.146 0.853 0.523
In5 0.018 0.651 0.982
In6 0.000 0.501 0.499
In7 0.853 0.146 0.477
In8 0.501 0.000 0.000
Cl1 0.879 0.142 0.121
Cl2 0.292 0.335 0.938
Cl3 0.156 0.087 0.190
Cl4 0.386 0.610 0.614
Cl5 0.186 0.186 0.814
Cl6 0.062 0.566 0.708
Cl7 0.197 0.565 0.167
Cl8 0.335 0.292 0.434
Cl9 0.420 0.939 0.349
Cl10 0.833 0.930 0.803
Cl11 0.565 0.197 0.070
Cl12 0.310 0.695 0.305
Cl13 0.930 0.833 0.435
Cl14 0.939 0.420 0.292
Cl15 0.610 0.386 0.390
Cl16 0.142 0.879 0.858
Cl17 0.651 0.708 0.580
Cl18 0.695 0.310 0.690
Cl19 0.087 0.156 0.567
Cl20 0.433 0.810 0.913
Cl21 0.708 0.651 0.061
Cl22 0.810 0.810 0.190
Cl23 0.566 0.062 0.665
Cl24 0.810 0.433 0.844
```

E_form = -1.26 eV per atom
crystal system = orthorhombic

***

Entry 2:
Computed, not measured: a relaxed Ta3In2Cl9 crystal at the PBE level of DFT.

```
data_Ta3In2Cl9
_space_group_name_H-M_alt 'P 1'
_space_group_IT_number 1
_cell_length_a 9.590
_cell_length_b 9.590
_cell_length_c 9.795
_cell_angle_alpha 74.69
_cell_angle_beta 74.69
_cell_angle_gamma 110.30
loop_
_space_group_symop_operation_xyz
'x,y,z'
loop_
_atom_site_label
_atom_site_fract_x
_atom_site_fract_y
_atom_site_fract_z
Ta1 0.898 0.898 0.868
Ta2 0.778 0.961 0.139
Ta3 0.039 0.222 0.861
Ta4 0.102 0.102 0.132
Ta5 0.222 0.039 0.861
Ta6 0.961 0.778 0.139
Cl1 0.220 0.780 0.000
Cl2 0.315 0.315 0.668
Cl3 0.780 0.220 0.000
Cl4 0.766 0.766 0.704
Cl5 0.075 0.855 0.321
Cl6 0.835 0.614 0.009
Cl7 0.855 0.075 0.321
Cl8 0.614 0.835 0.009
Cl9 0.386 0.165 0.991
Cl10 0.165 0.386 0.991
Cl11 0.491 0.913 0.322
Cl12 0.145 0.925 0.679
Cl13 0.509 0.087 0.678
Cl14 0.913 0.491 0.322
Cl15 0.234 0.234 0.296
Cl16 0.685 0.685 0.332
Cl17 0.925 0.145 0.679
Cl18 0.087 0.509 0.678
In1 0.242 0.546 0.337
In2 0.758 0.454 0.663
In3 0.546 0.242 0.337
In4 0.454 0.758 0.663
```

E_form = -1.54 eV per atom
crystal system = monoclinic

***

Entry 3:
Computed, not measured: a relaxed InTeCl crystal at the PBE level of DFT.

```
data_InTeCl
_space_group_name_H-M_alt 'P 1'
_space_group_IT_number 1
_cell_length_a 14.385
_cell_length_b 7.343
_cell_length_c 7.772
_cell_angle_alpha 87.20
_cell_angle_beta 90.00
_cell_angle_gamma 90.00
loop_
_space_group_symop_operation_xyz
'x,y,z'
loop_
_atom_site_label
_atom_site_fract_x
_atom_site_fract_y
_atom_site_fract_z
Te1 0.328 0.779 0.386
Te2 0.502 0.755 0.846
Te3 0.672 0.221 0.614
Te4 0.828 0.721 0.614
Te5 0.498 0.245 0.154
Te6 0.002 0.745 0.154
Te7 0.998 0.255 0.846
Te8 0.172 0.279 0.386
Cl1 0.264 0.489 0.938
Cl2 0.764 0.011 0.062
Cl3 0.736 0.511 0.062
Cl4 0.899 0.225 0.390
Cl5 0.601 0.725 0.390
Cl6 0.101 0.775 0.610
Cl7 0.236 0.989 0.938
Cl8 0.399 0.275 0.610
In1 0.023 0.130 0.202
In2 0.189 0.625 0.181
In3 0.977 0.870 0.798
In4 0.477 0.630 0.202
In5 0.689 0.875 0.819
In6 0.523 0.370 0.798
In7 0.311 0.125 0.181
In8 0.811 0.375 0.819
```

E_form = -0.87 eV per atom
crystal system = monoclinic

***

Entry 4:
Computed, not measured: a relaxed Ti2In3Cl9 crystal at the PBE level of DFT.

```
data_Ti2In3Cl9
_space_group_name_H-M_alt 'P 1'
_space_group_IT_number 1
_cell_length_a 7.060
_cell_length_b 7.060
_cell_length_c 17.397
_cell_angle_alpha 90.00
_cell_angle_beta 90.00
_cell_angle_gamma 120.00
loop_
_space_group_symop_operation_xyz
'x,y,z'
loop_
_atom_site_label
_atom_site_fract_x
_atom_site_fract_y
_atom_site_fract_z
Cl1 0.826 0.652 0.089
Cl2 0.827 0.173 0.409
Cl3 0.346 0.173 0.409
Cl4 0.497 0.503 0.750
Cl5 0.503 0.497 0.250
Cl6 0.348 0.174 0.089
Cl7 0.174 0.826 0.589
Cl8 0.497 0.994 0.750
Cl9 0.827 0.654 0.409
Cl10 0.654 0.827 0.909
Cl11 0.826 0.174 0.089
Cl12 0.994 0.497 0.250
Cl13 0.174 0.348 0.589
Cl14 0.652 0.826 0.589
Cl15 0.503 0.006 0.250
Cl16 0.173 0.827 0.909
Cl17 0.006 0.503 0.750
Cl18 0.173 0.346 0.909
In1 0.000 0.000 0.770
In2 0.000 0.000 0.270
In3 0.333 0.667 0.067
In4 0.667 0.333 0.567
In5 0.667 0.333 0.936
In6 0.333 0.667 0.436
Ti1 0.667 0.333 0.167
Ti2 0.333 0.667 0.667
Ti3 0.667 0.333 0.330
Ti4 0.333 0.667 0.830
```

E_form = -1.66 eV per atom
crystal system = hexagonal